Record 1
Material: CaEuZrFeO6
Method: DFT, PBE with a Hubbard U
State: optimized geometry

Unit cell a=5.6936 b=5.6936 c=5.6936 alpha=60.00 beta=60.00 gamma=60.00
Closest atoms and distances in Å follow each position.
Fractional positions:
O 0.2429 0.2429 0.7571  1 Fe 1.96, 1 Zr 2.07
O 0.7571 0.2429 0.7571  1 Fe 1.96, 1 Zr 2.07
O 0.7571 0.2429 0.2429  1 Fe 1.96, 1 Zr 2.07
O 0.2429 0.7571 0.2429  1 Fe 1.96, 1 Zr 2.07
O 0.7571 0.7571 0.2429  1 Fe 1.96, 1 Zr 2.07
O 0.2429 0.7571 0.7571  1 Fe 1.96, 1 Zr 2.07
Ca 0.7500 0.7500 0.7500  12 O 2.85
Zr 0.5000 0.5000 0.5000  6 O 2.07
Fe 0.0000 0.0000 0.0000  6 O 1.96
Eu 0.2500 0.2500 0.2500  12 O 2.85

E (MP2020) = -8.7928 eV/atom
ΔH_f (0 K) = -28.96 eV per formula unit
crystal system = cubic
SG = F-43m
E = -8.155 eV per atom

---

Record 2
Material: MnO2
Method: DFT, PBE with a Hubbard U
State: optimized geometry

Unit cell a=2.9163 b=4.5810 c=9.4344 alpha=90.00 beta=90.00 gamma=90.00
Closest atoms and distances in Å follow each position.
Fractional positions:
O 0.2500 0.8087 0.2163  3 Mn 1.91-1.92
O 0.2500 0.6915 0.7162  3 Mn 1.91-1.92
O 0.2500 0.2876 0.5369  3 Mn 1.94
O 0.7500 0.7877 0.9630  3 Mn 1.94
O 0.7500 0.1913 0.7837  3 Mn 1.91-1.92
O 0.7500 0.7124 0.4631  3 Mn 1.94
O 0.7500 0.3085 0.2838  3 Mn 1.91-1.92
O 0.2500 0.2123 0.0369  3 Mn 1.94
Mn 0.7500 0.0213 0.1350  6 O 1.91-1.94
Mn 0.2500 0.9787 0.8650  6 O 1.91-1.94
Mn 0.2500 0.5213 0.3650  6 O 1.91-1.94
Mn 0.7500 0.4787 0.6350  6 O 1.91-1.94

E (MP2020) = -8.1540 eV/atom
ΔH_f (0 K) = -5.40 eV per formula unit
crystal system = orthorhombic
SG = Pnma
E = -7.140 eV per atom

---

Record 3
Material: LiNiP4O12
Method: DFT, PBE with a Hubbard U
State: optimized geometry

Unit cell a=13.1510 b=7.6073 c=11.2921 alpha=57.44 beta=90.00 gamma=90.00
Closest atoms and distances in Å follow each position.
Fractional positions:
P 0.1124 0.3550 0.2359  4 O 1.49-1.62
P 0.5849 0.0693 0.2200  4 O 1.49-1.61
P 0.6124 0.6450 0.2641  4 O 1.49-1.62
P 0.8876 0.6450 0.7641  4 O 1.49-1.62
P 0.3649 0.1772 0.2115  4 O 1.49-1.63
P 0.9151 0.0693 0.7200  4 O 1.49-1.61
P 0.6351 0.8228 0.7885  4 O 1.49-1.63
P 0.1014 0.5116 0.7637  4 O 1.50-1.60
P 0.8649 0.8228 0.2885  4 O 1.49-1.63
P 0.3986 0.5116 0.2637  4 O 1.50-1.60
P 0.4151 0.9307 0.7800  4 O 1.49-1.61
P 0.6014 0.4884 0.7363  4 O 1.50-1.60
P 0.8986 0.4884 0.2363  4 O 1.50-1.60
P 0.3876 0.3550 0.7359  4 O 1.49-1.62
P 0.0849 0.9307 0.2800  4 O 1.49-1.61
P 0.1351 0.1772 0.7115  4 O 1.49-1.63
O 0.1458 0.5305 0.0955  1 P 1.49
O 0.7156 0.8317 0.8778  1 P 1.49
O 0.3352 0.6968 0.2317  1 P 1.50
O 0.8929 0.0840 0.8464  1 P 1.52
O 0.3929 0.9160 0.6536  1 P 1.52
O 0.3404 0.8257 0.8980  1 P 1.49
O 0.8404 0.1743 0.6020  1 P 1.49
O 0.2156 0.1683 0.6222  1 P 1.49
O 0.6596 0.1743 0.1020  1 P 1.49
O 0.8956 0.6578 0.0800  1 P 1.53
O 0.9862 0.5742 0.7130  2 P 1.60-1.62
O 0.8146 0.7347 0.6437  1 P 1.50
O 0.6415 0.9792 0.6316  1 P 1.51
O 0.4749 0.1646 0.1548  2 P 1.61
O 0.7844 0.8317 0.3778  1 P 1.49
O 0.8352 0.3032 0.2683  1 P 1.50
O 0.8663 0.5835 0.3273  2 P 1.60-1.63
O 0.3146 0.2653 0.8563  1 P 1.50
O 0.9749 0.8354 0.3452  2 P 1.61
O 0.0138 0.4258 0.2870  2 P 1.60-1.62
O 0.6854 0.7347 0.1437  1 P 1.50
O 0.1854 0.2653 0.3563  1 P 1.50
O 0.1648 0.6968 0.7317  1 P 1.50
O 0.3542 0.5305 0.5955  1 P 1.49
O 0.6458 0.4695 0.4045  1 P 1.49
O 0.6044 0.6578 0.5800  1 P 1.53
O 0.6648 0.3032 0.7683  1 P 1.50
O 0.3663 0.4165 0.1727  2 P 1.60-1.63
O 0.1596 0.8257 0.3980  1 P 1.49
O 0.6071 0.0840 0.3464  1 P 1.52
O 0.5251 0.8354 0.8452  2 P 1.61
O 0.3585 0.0208 0.3684  1 P 1.51
O 0.1071 0.9160 0.1536  1 P 1.52
O 0.1415 0.0208 0.8684  1 P 1.51
O 0.1337 0.4165 0.6727  2 P 1.60-1.63
O 0.4862 0.4258 0.7870  2 P 1.60-1.62
O 0.3956 0.3422 0.4200  1 P 1.53
O 0.4360 0.1710 0.7240  2 P 1.60-1.61
O 0.9360 0.8290 0.7760  2 P 1.60-1.61
O 0.8542 0.4695 0.9045  1 P 1.49
O 0.0640 0.1710 0.2240  2 P 1.60-1.61
O 0.5640 0.8290 0.2760  2 P 1.60-1.61
O 0.6337 0.5835 0.8273  2 P 1.60-1.63
O 0.0251 0.1646 0.6548  2 P 1.61
O 0.5138 0.5742 0.2130  2 P 1.60-1.62
O 0.8585 0.9792 0.1316  1 P 1.51
O 0.2844 0.1683 0.1222  1 P 1.49
O 0.1044 0.3422 0.9200  1 P 1.53
Ni 0.2958 0.1029 0.4981  5 O 2.01-2.05
Ni 0.7958 0.8971 0.0019  5 O 2.01-2.05
Ni 0.2042 0.1029 0.9981  5 O 2.01-2.05
Ni 0.7042 0.8971 0.5019  5 O 2.01-2.05
Li 0.7088 0.3035 0.5865  3 O 1.93-2.13
Li 0.7912 0.3035 0.0865  3 O 1.93-2.13
Li 0.2912 0.6965 0.4135  3 O 1.93-2.13
Li 0.2088 0.6965 0.9135  3 O 1.93-2.13

E (MP2020) = -7.2738 eV/atom
ΔH_f (0 K) = -42.21 eV per formula unit
crystal system = monoclinic
SG = P2_1/c
E above lowest polymorph = 0.0449 eV/atom
E = -6.675 eV per atom

---

Record 4
Material: LiAl2V4O8
Method: DFT, PBE with a Hubbard U
State: optimized geometry

Unit cell a=5.7711 b=6.6681 c=6.0001 alpha=92.31 beta=118.71 gamma=121.86
Closest atoms and distances in Å follow each position.
Fractional positions:
Al 0.4789 0.9897 0.9954  6 O 1.86-2.07
Al 0.9741 0.9687 0.0297  4 O 1.82-1.93
O 0.9590 0.7436 0.2159  1 Al 1.90, 1 Li 2.08, 1 V 2.12
O 0.5087 0.8027 0.7607  2 Al 1.90-1.97
O 0.9822 0.2179 0.2156  2 Al 1.93-2.00
O 0.4979 0.8121 0.2258  1 Al 1.86, 1 Li 1.87, 2 V 1.97-2.05
O 0.9563 0.7398 0.7657  1 Li 2.07, 2 Al 2.07-2.08, 1 V 2.16
O 0.4276 0.1711 0.1984  2 Al 1.82-1.91
O 0.4605 0.1626 0.7509  1 Al 1.90, 2 V 2.04-2.05, 1 Li 2.10
O 0.9922 0.2836 0.7110  4 V 2.00-2.22
V 0.4944 0.9969 0.4873  6 O 1.97-2.13
V 0.9170 0.5109 0.4644  4 O 2.07-2.22
V 0.0058 0.4845 0.0057  4 O 2.05-2.20
V 0.4047 0.4388 0.6848  3 O 2.05-2.14
Li 0.9302 0.9166 0.4886  3 O 1.87-2.08

E (MP2020) = -8.1425 eV/atom
ΔH_f (0 K) = -36.82 eV per formula unit
crystal system = triclinic
SG = P1
E above lowest polymorph = 0.0383 eV/atom
E = -7.323 eV per atom

---

Record 5
Material: MnTeMoO6
Method: DFT, PBE with a Hubbard U
State: optimized geometry

Unit cell a=5.3036 b=5.3036 c=9.2871 alpha=90.00 beta=90.00 gamma=90.00
Closest atoms and distances in Å follow each position.
Fractional positions:
O 0.2815 0.2185 0.7938  1 Mo 1.89
O 0.6858 0.1858 0.5791  1 Mo 1.74
O 0.1919 0.6919 0.8930  1 Te 1.92
O 0.2185 0.7185 0.2062  1 Mo 1.89
O 0.1858 0.3142 0.4209  1 Mo 1.74
O 0.3081 0.1919 0.1070  1 Te 1.92
O 0.6919 0.8081 0.1070  1 Te 1.92
O 0.3142 0.8142 0.5791  1 Mo 1.74
O 0.7185 0.7815 0.7938  1 Mo 1.89
O 0.7815 0.2815 0.2062  1 Mo 1.89
O 0.8081 0.3081 0.8930  1 Te 1.92
O 0.8142 0.6858 0.4209  1 Mo 1.74
Mo 0.0000 0.5000 0.3086  4 O 1.74-1.89
Mo 0.5000 0.0000 0.6914  4 O 1.74-1.89
Mn 0.0000 0.0000 0.0000  4 O 2.17
Mn 0.5000 0.5000 0.0000  4 O 2.17
Te 0.0000 0.5000 0.7558  4 O 1.92-2.14
Te 0.5000 0.0000 0.2442  4 O 1.92-2.14

E (MP2020) = -7.7330 eV/atom
ΔH_f (0 K) = -16.76 eV per formula unit
crystal system = tetragonal
SG = P-42_1m
E above lowest polymorph = 0.0058 eV/atom
E = -6.734 eV per atom

---

Record 6
Material: Li9Mn2Co5O16
Method: DFT, PBE with a Hubbard U
State: optimized geometry

Unit cell a=5.1219 b=7.7929 c=7.7929 alpha=96.64 beta=76.51 gamma=76.51
Closest atoms and distances in Å follow each position.
Fractional positions:
O 0.7659 0.0050 0.2334  1 Mn 1.88, 3 Li 2.04-2.10
O 0.2341 0.7666 0.9950  1 Mn 1.88, 3 Li 2.04-2.10
O 0.7659 0.7334 0.5050  1 Mn 1.88, 3 Li 2.04-2.10
O 0.7658 0.4896 0.7350  2 Co 2.00-2.08, 1 Mn 2.01, 2 Li 2.14-2.22
O 0.2341 0.4950 0.2666  1 Mn 1.88, 3 Li 2.04-2.10
O 0.2481 0.1045 0.1079  1 Mn 1.95, 2 Co 2.01-2.02, 1 Li 2.14
O 0.7346 0.1351 0.6351  3 Co 1.99-2.10, 3 Li 2.14-2.17
O 0.7658 0.2350 0.9896  2 Co 2.00-2.08, 1 Mn 2.01, 2 Li 2.14-2.22
O 0.7215 0.6341 0.1341  2 Co 1.93, 4 Li 2.05-2.16
O 0.7519 0.8921 0.8955  1 Mn 1.95, 2 Co 2.01-2.02, 1 Li 2.14
O 0.7519 0.3955 0.3921  1 Mn 1.95, 2 Co 2.01-2.02, 1 Li 2.14
O 0.2342 0.2650 0.5104  2 Co 2.00-2.08, 1 Mn 2.01, 2 Li 2.14-2.22
O 0.2481 0.6079 0.6045  1 Mn 1.95, 2 Co 2.01-2.02, 1 Li 2.14
O 0.2342 0.0104 0.7650  2 Co 2.00-2.08, 1 Mn 2.01, 2 Li 2.14-2.22
O 0.2654 0.3649 0.8649  3 Co 1.99-2.10, 3 Li 2.14-2.17
O 0.2785 0.8659 0.3659  2 Co 1.93, 4 Li 2.05-2.16
Co 0.0000 0.2500 0.7500  6 O 2.00-2.10
Co 0.5000 0.1251 0.8749  6 O 1.99-2.08
Co 0.5000 0.8706 0.1294  6 O 1.93-2.14
Co 0.5000 0.6294 0.3706  6 O 1.93-2.14
Co 0.5000 0.3749 0.6251  6 O 1.99-2.08
Li 0.0000 0.7500 0.2500  6 O 2.10-2.16
Li 0.5000 0.2500 0.2500  4 O 2.04-2.14
Li 0.9991 0.1151 0.3733  6 O 2.05-2.22
Li 0.5000 0.7500 0.7500  4 O 2.04-2.14
Li 0.0009 0.6267 0.8849  6 O 2.05-2.22
Li 0.0009 0.3849 0.1267  6 O 2.05-2.22
Li 0.4853 0.5097 0.0097  6 O 2.05-2.25
Li 0.5147 0.9903 0.4903  6 O 2.05-2.25
Li 0.9991 0.8733 0.6151  6 O 2.05-2.22
Mn 0.0000 0.5052 0.4948  6 O 1.88-2.01
Mn 0.0000 0.9948 0.0052  6 O 1.88-2.01

E (MP2020) = -6.5381 eV/atom
ΔH_f (0 K) = -59.01 eV per formula unit
crystal system = monoclinic
SG = C2/m
E above lowest polymorph = 0.0202 eV/atom
E = -5.834 eV per atom

---

Copy entry 4 word for word.
Material: LiAl2V4O8
Method: DFT, PBE with a Hubbard U
State: optimized geometry

Unit cell a=5.7711 b=6.6681 c=6.0001 alpha=92.31 beta=118.71 gamma=121.86
Closest atoms and distances in Å follow each position.
Fractional positions:
Al 0.4789 0.9897 0.9954  6 O 1.86-2.07
Al 0.9741 0.9687 0.0297  4 O 1.82-1.93
O 0.9590 0.7436 0.2159  1 Al 1.90, 1 Li 2.08, 1 V 2.12
O 0.5087 0.8027 0.7607  2 Al 1.90-1.97
O 0.9822 0.2179 0.2156  2 Al 1.93-2.00
O 0.4979 0.8121 0.2258  1 Al 1.86, 1 Li 1.87, 2 V 1.97-2.05
O 0.9563 0.7398 0.7657  1 Li 2.07, 2 Al 2.07-2.08, 1 V 2.16
O 0.4276 0.1711 0.1984  2 Al 1.82-1.91
O 0.4605 0.1626 0.7509  1 Al 1.90, 2 V 2.04-2.05, 1 Li 2.10
O 0.9922 0.2836 0.7110  4 V 2.00-2.22
V 0.4944 0.9969 0.4873  6 O 1.97-2.13
V 0.9170 0.5109 0.4644  4 O 2.07-2.22
V 0.0058 0.4845 0.0057  4 O 2.05-2.20
V 0.4047 0.4388 0.6848  3 O 2.05-2.14
Li 0.9302 0.9166 0.4886  3 O 1.87-2.08

E (MP2020) = -8.1425 eV/atom
ΔH_f (0 K) = -36.82 eV per formula unit
crystal system = triclinic
SG = P1
E above lowest polymorph = 0.0383 eV/atom
E = -7.323 eV per atom

---

> Look up the E (MP2020) of the second one.

-8.1540 eV/atom

---

> Among the records above, which one has the lowest ΔH_f (0 K)?

Li9Mn2Co5O16